Density functional theory data (meta-GGA r2SCAN) for an optimized crystal structure of TbHoHg2.

Output
E	-165.2	eV/cell
energy relative to the elements	-0.5831	eV per atom

a b c (Å): 5.2219 5.2219 5.2219
angles (deg): 60.00 60.00 60.00
With the nearest neighbours (Å) after each atom.
Fractional coordinates of all 4 atoms:
1 Hg 0.7500 0.7500 0.7500  4 Ho 3.20, 4 Tb 3.20
2 Hg 0.2500 0.2500 0.2500  4 Ho 3.20, 4 Tb 3.20
3 Ho 0.5000 0.5000 0.5000  8 Hg 3.20
4 Tb 0.0000 0.0000 0.0000  8 Hg 3.20